This record from the Materials Project database describes a geometry-optimized Li4Ti3VO8 structure. The functional is GGA+U.

a = 4.139 Å, b = 6.109 Å, c = 6.900 Å
α = 88.32°, β = 90.00°, γ = 90.00°
Atoms (fractional coordinates):
O 0.500 0.075 0.101
V 0.000 0.088 0.129
Ti 0.500 0.914 0.868
O 0.500 0.599 0.852
Li 0.000 0.581 0.886
O 0.500 0.102 0.640
Li 0.500 0.922 0.383
Li 0.500 0.422 0.116
O 0.000 0.909 0.871
O 0.500 0.581 0.375
O 0.000 0.414 0.631
Li 0.000 0.073 0.614
O 0.000 0.427 0.145
Ti 0.000 0.582 0.378
Ti 0.500 0.420 0.626
O 0.000 0.890 0.384

Calculated values
Calculated formation energy ... -2.802 eV per atom
MP2020-corrected energy ... -124.825 eV/cell
Distance to the lowest polymorph of the same formula ... 0.845 eV per formula unit


This record from the Materials Project database describes a geometry-optimized Li3TiV2O6 structure. The functional is GGA+U.

a = 5.973 Å, b = 6.662 Å, c = 6.732 Å
α = 97.11°, β = 64.23°, γ = 77.05°
Atoms (fractional coordinates):
O 0.863 0.325 0.109
O 0.119 0.019 0.240
Ti 0.996 0.341 0.343
O 0.126 0.673 0.915
O 0.139 0.331 0.561
O 0.876 0.003 0.761
V 0.002 0.667 0.666
V 0.504 0.992 0.993
Li 0.753 0.996 0.502
V 0.004 0.992 0.993
V 0.502 0.668 0.666
Li 0.253 0.995 0.501
Li 0.253 0.670 0.161
O 0.884 0.649 0.409
O 0.364 0.325 0.109
Li 0.754 0.670 0.161
O 0.384 0.649 0.409
O 0.619 0.019 0.240
Li 0.747 0.335 0.840
O 0.375 0.003 0.761
Ti 0.496 0.341 0.342
Li 0.248 0.335 0.839
O 0.639 0.331 0.562
O 0.626 0.673 0.916

Calculated values
Calculated formation energy ... -2.659 eV per atom
MP2020-corrected energy ... -186.762 eV/cell
Distance to the lowest polymorph of the same formula ... 0.004 eV per formula unit


This record from the Materials Project database describes a geometry-optimized Li4Ti3V3O12 structure. The functional is GGA+U.

a = 5.190 Å, b = 6.050 Å, c = 7.913 Å
α = 77.75°, β = 77.11°, γ = 72.98°
Atoms (fractional coordinates):
V 0.997 0.169 0.832
O 0.740 0.810 0.405
O 0.275 0.641 0.579
O 0.260 0.190 0.595
O 0.244 0.518 0.264
Li 0.502 0.166 0.335
V 0.000 0.500 0.500
Ti 0.507 0.332 0.668
O 0.756 0.482 0.736
O 0.737 0.687 0.094
O 0.272 0.985 0.236
V 0.003 0.831 0.168
O 0.725 0.359 0.421
O 0.263 0.313 0.906
O 0.755 0.139 0.076
O 0.728 0.015 0.764
Ti 0.493 0.668 0.332
Li 0.997 0.334 0.167
Ti 0.500 0.000 0.000
Li 0.498 0.834 0.665
Li 0.003 0.666 0.833
O 0.245 0.861 0.924

Calculated values
Calculated formation energy ... -2.825 eV per atom
MP2020-corrected energy ... -180.107 eV/cell


This record from the Materials Project database describes a geometry-optimized LiTi2V3O12 structure. The functional is GGA+U.

a = 9.147 Å, b = 9.006 Å, c = 15.471 Å
α = 54.83°, β = 90.00°, γ = 90.00°
Atoms (fractional coordinates):
Li 0.278 0.002 0.689
O 0.869 0.532 0.077
O 0.897 0.814 0.110
O 0.194 0.717 0.155
Li 0.778 0.998 0.811
O 0.284 0.005 0.820
O 0.397 0.186 0.390
O 0.663 0.524 0.396
O 0.103 0.186 0.890
O 0.434 0.837 0.015
V 0.749 0.543 0.987
O 0.131 0.468 0.923
Ti 0.034 0.864 0.384
O 0.525 0.455 0.765
O 0.784 0.995 0.680
O 0.975 0.455 0.265
Ti 0.966 0.136 0.616
O 0.622 0.367 0.058
O 0.916 0.094 0.327
O 0.631 0.532 0.577
O 0.084 0.906 0.673
O 0.441 0.818 0.465
O 0.806 0.283 0.845
O 0.059 0.818 0.965
O 0.122 0.633 0.442
O 0.369 0.468 0.423
O 0.934 0.163 0.485
V 0.619 0.252 0.855
O 0.335 0.242 0.083
O 0.416 0.906 0.173
O 0.163 0.476 0.104
O 0.665 0.758 0.917
V 0.381 0.748 0.145
Ti 0.466 0.864 0.884
V 0.751 0.543 0.487
V 0.881 0.252 0.355
O 0.337 0.476 0.604
Ti 0.981 0.371 0.881
O 0.216 0.005 0.320
Li 0.722 0.998 0.311
V 0.119 0.748 0.645
Ti 0.019 0.629 0.119
O 0.378 0.633 0.942
O 0.584 0.094 0.827
O 0.165 0.242 0.583
V 0.109 0.028 0.859
O 0.482 0.909 0.741
Li 0.222 0.002 0.189
O 0.878 0.367 0.558
O 0.837 0.524 0.896
O 0.518 0.091 0.259
O 0.694 0.283 0.345
O 0.025 0.545 0.735
O 0.835 0.758 0.417
V 0.609 0.972 0.641
O 0.306 0.717 0.655
V 0.891 0.972 0.141
O 0.941 0.182 0.035
O 0.018 0.909 0.241
V 0.251 0.457 0.013
Ti 0.481 0.629 0.619
Ti 0.519 0.371 0.381
O 0.716 0.995 0.180
O 0.475 0.545 0.235
O 0.982 0.091 0.759
Ti 0.534 0.136 0.116
O 0.559 0.182 0.535
V 0.391 0.028 0.359
O 0.566 0.163 0.985
V 0.249 0.457 0.513
O 0.066 0.837 0.515
O 0.603 0.814 0.610

Calculated values
Calculated formation energy ... -2.747 eV per atom
MP2020-corrected energy ... -615.096 eV/cell
Distance to the lowest polymorph of the same formula ... 0.000 eV per formula unit


This record from the Materials Project database describes a geometry-optimized Li4TiV3O10 structure. The functional is GGA+U.

a = 6.717 Å, b = 6.717 Å, c = 9.200 Å
α = 90.00°, β = 90.00°, γ = 90.00°
Atoms (fractional coordinates):
O 0.250 0.531 0.366
O 0.250 0.531 0.866
V 0.750 0.750 0.199
V 0.250 0.250 0.801
O 0.531 0.250 0.368
O 0.031 0.750 0.634
O 0.970 0.250 0.868
O 0.969 0.250 0.368
V 0.750 0.750 0.699
O 0.750 0.750 0.383
O 0.469 0.750 0.134
V 0.250 0.250 0.301
Ti 0.750 0.250 0.750
Ti 0.750 0.250 0.250
Li 0.499 0.999 0.000
V 0.250 0.750 0.750
O 0.750 0.030 0.632
O 0.250 0.250 0.117
Li 0.499 0.501 0.000
O 0.250 0.250 0.618
Li 0.001 0.501 0.000
Li 0.001 0.501 0.500
Li 0.499 0.501 0.500
Li 0.001 0.999 0.500
O 0.750 0.470 0.632
O 0.750 0.750 0.882
Li 0.001 0.999 0.000
O 0.750 0.469 0.132
O 0.250 0.969 0.366
O 0.750 0.031 0.132
O 0.031 0.750 0.134
O 0.469 0.750 0.634
V 0.250 0.750 0.250
Li 0.499 0.999 0.500
O 0.530 0.250 0.868
O 0.250 0.969 0.866

Calculated values
Calculated formation energy ... -2.627 eV per atom
MP2020-corrected energy ... -279.101 eV/cell


This record from the Materials Project database describes a geometry-optimized Li3Ti3VO8 structure. The functional is GGA+U.

a = 5.915 Å, b = 8.442 Å, c = 6.032 Å
α = 88.37°, β = 89.99°, γ = 90.00°
Atoms (fractional coordinates):
Ti 0.751 0.753 0.247
O 0.000 0.755 0.020
Li 0.500 0.500 0.000
Li 0.750 0.753 0.748
V 0.000 0.001 0.001
O 0.256 0.992 0.236
Li 0.000 0.000 0.498
Ti 0.000 0.505 0.493
O 0.751 0.509 0.271
V 0.500 0.499 0.499
Li 0.249 0.247 0.252
Li 0.250 0.753 0.748
O 0.744 0.992 0.237
Ti 0.248 0.752 0.247
O 0.000 0.746 0.491
O 0.500 0.755 0.006
O 0.752 0.487 0.726
O 0.500 0.260 0.524
Ti 0.753 0.246 0.753
O 0.249 0.508 0.270
O 0.248 0.487 0.726
O 0.000 0.247 0.980
O 0.500 0.244 0.988
Li 0.751 0.247 0.252
O 0.500 0.739 0.476
O 0.743 0.014 0.766
O 0.000 0.256 0.515
O 0.256 0.013 0.766
Ti 0.500 0.996 0.009
Ti 0.248 0.245 0.753

Calculated values
Calculated formation energy ... -2.922 eV per atom
MP2020-corrected energy ... -243.814 eV/cell
Distance to the lowest polymorph of the same formula ... 0.337 eV per formula unit


Please write out number 5 again, unchanged.
This record from the Materials Project database describes a geometry-optimized Li4TiV3O10 structure. The functional is GGA+U.

a = 6.717 Å, b = 6.717 Å, c = 9.200 Å
α = 90.00°, β = 90.00°, γ = 90.00°
Atoms (fractional coordinates):
O 0.250 0.531 0.366
O 0.250 0.531 0.866
V 0.750 0.750 0.199
V 0.250 0.250 0.801
O 0.531 0.250 0.368
O 0.031 0.750 0.634
O 0.970 0.250 0.868
O 0.969 0.250 0.368
V 0.750 0.750 0.699
O 0.750 0.750 0.383
O 0.469 0.750 0.134
V 0.250 0.250 0.301
Ti 0.750 0.250 0.750
Ti 0.750 0.250 0.250
Li 0.499 0.999 0.000
V 0.250 0.750 0.750
O 0.750 0.030 0.632
O 0.250 0.250 0.117
Li 0.499 0.501 0.000
O 0.250 0.250 0.618
Li 0.001 0.501 0.000
Li 0.001 0.501 0.500
Li 0.499 0.501 0.500
Li 0.001 0.999 0.500
O 0.750 0.470 0.632
O 0.750 0.750 0.882
Li 0.001 0.999 0.000
O 0.750 0.469 0.132
O 0.250 0.969 0.366
O 0.750 0.031 0.132
O 0.031 0.750 0.134
O 0.469 0.750 0.634
V 0.250 0.750 0.250
Li 0.499 0.999 0.500
O 0.530 0.250 0.868
O 0.250 0.969 0.866

Calculated values
Calculated formation energy ... -2.627 eV per atom
MP2020-corrected energy ... -279.101 eV/cell


> Number 1 is which compound?

Li4Ti3VO8